Record 1
The following is a DFT calculation (r2SCAN) of a relaxed structure of CeSF.

```
6
Lattice="-0.162 -2.420 -3.138 0.223 -3.141 2.411 -6.962 -0.137 0.465" Properties=species:S:1:pos:R:3 pbc="T T T"
Ce -5.307 -4.276 -0.188
Ce -1.594 -1.422 -0.074
S -4.507 -1.479 0.120
S -2.395 -4.219 -0.382
F 0.127 -2.961 1.024
F -0.066 -2.600 -1.751
```

The space group is P4/nmm. As for the crystal system: tetragonal. As for the energy of formation from the pure elements: -3281 meV/atom. The total energy comes out at -103.69 eV per cell. The total magnetization is 1.00 μB/f.u.

Record 2
The following is a DFT calculation (r2SCAN) of a relaxed structure of TmCuSe2.

```
4
Lattice="-0.553 0.054 3.998 0.394 -3.520 -1.936 6.289 0.227 0.867" Properties=species:S:1:pos:R:3 pbc="T T T"
Tm 5.030 0.181 0.693
Cu 0.924 -1.095 2.180
Se 0.520 -2.313 0.103
Se 3.324 -1.009 2.511
```

The space group is P3m1. As for the crystal system: trigonal. As for the energy of formation from the pure elements: -1404 meV/atom. The total energy comes out at -80.21 eV per cell. The total magnetization is 0.00 μB/f.u.

Record 3
The following is a DFT calculation (r2SCAN) of a relaxed structure of ZrSnPb2O6.

```
10
Lattice="-5.597 -1.528 -0.509 -3.491 0.136 4.660 -4.171 4.046 0.397" Properties=species:S:1:pos:R:3 pbc="T T T"
Zr 0.000 0.000 0.000
Sn -6.630 1.327 2.274
Pb -3.315 0.663 1.137
Pb -9.945 1.990 3.411
O -6.117 -0.090 0.893
O -7.142 2.743 3.655
O -5.072 0.736 3.458
O -8.187 1.918 1.090
O -5.409 2.676 1.343
O -7.850 -0.022 3.205
```

The space group is Fm-3m. As for the crystal system: cubic. As for the energy of formation from the pure elements: -2147 meV/atom. The total energy comes out at -217.37 eV per cell. The total magnetization is 0.00 μB/f.u.

Record 4
The following is a DFT calculation (r2SCAN) of a relaxed structure of CuAsS.

```
12
Lattice="-0.762 0.601 3.655 -2.819 -4.595 0.167 9.384 -5.651 2.885" Properties=species:S:1:pos:R:3 pbc="T T T"
Cu 1.638 -3.695 1.927
Cu -1.575 -4.836 3.401
Cu 4.166 -5.951 4.781
Cu 7.379 -4.810 3.307
As -2.278 -2.621 2.890
As 3.946 -3.293 2.342
As 1.858 -6.352 4.366
As 8.082 -7.025 3.817
S 4.905 -8.047 5.279
S 0.643 -4.521 3.811
S 0.898 -1.599 1.428
S 5.161 -5.125 2.896
```

The space group is Pnma. As for the crystal system: orthorhombic. As for the energy of formation from the pure elements: -232 meV/atom. The total energy comes out at -137.14 eV per cell. The total magnetization is 0.00 μB/f.u.